*w*
First-principles (PBE) data for a relaxed CsLiMg6O7 crystal, as listed in Materials Project.

Properties
SG	No. 99
size of the total moment	0.75	μB/f.u.

Geometry as POSCAR:
```
CsLiMg6O7
1.0
4.512 0.000 0.000
0.000 4.512 0.000
0.000 0.000 9.521
Cs Li Mg O
1 1 6 7
Cartesian
0.000 0.000 4.813 Cs
0.000 0.000 0.008 Li
2.256 2.256 9.394 Mg
2.256 2.256 4.997 Mg
0.000 2.256 2.025 Mg
0.000 2.256 7.530 Mg
2.256 0.000 2.025 Mg
2.256 0.000 7.530 Mg
0.000 0.000 2.046 O
0.000 0.000 7.517 O
2.256 2.256 7.172 O
0.000 2.256 0.017 O
0.000 2.256 4.588 O
2.256 0.000 0.017 O
2.256 0.000 4.588 O
```



*x*
First-principles (PBE) data for a relaxed CsLiMg6O7 crystal, as listed in Materials Project.

Properties
SG	No. 99
size of the total moment	0.09	μB/f.u.

Geometry as POSCAR:
```
CsLiMg6O7
1.0
4.152 0.000 0.000
0.000 4.152 0.000
0.000 0.000 12.131
Cs Li Mg O
1 1 6 7
Cartesian
2.076 2.076 11.611 Cs
0.000 0.000 1.218 Li
0.000 0.000 5.999 Mg
2.076 2.076 5.780 Mg
0.000 2.076 3.286 Mg
0.000 2.076 8.045 Mg
2.076 0.000 3.286 Mg
2.076 0.000 8.045 Mg
0.000 0.000 8.145 O
2.076 2.076 3.757 O
2.076 2.076 8.153 O
0.000 2.076 1.373 O
0.000 2.076 5.908 O
2.076 0.000 1.373 O
2.076 0.000 5.908 O
```



*y*
First-principles (PBE) data for a relaxed CsLiMg6O7 crystal, as listed in Materials Project.

Properties
SG	No. 99
size of the total moment	0.00	μB/f.u.

Geometry as POSCAR:
```
CsLiMg6O7
1.0
-6.043 -4.768 -2.893
3.072 -3.364 -0.874
-0.677 -1.723 4.254
Cs Li Mg O
1 1 6 7
Cartesian
-2.506 -1.977 -1.200 Cs
-5.894 -4.649 -2.822 Li
1.172 -2.564 1.677 Mg
-1.939 -5.018 0.188 Mg
-1.831 -2.039 1.412 Mg
-4.927 -4.481 -0.070 Mg
0.044 -2.859 -1.151 Mg
-3.052 -5.302 -2.634 Mg
-4.560 -3.597 -2.183 O
-0.380 -3.788 0.934 O
-3.402 -6.173 -0.513 O
-0.434 -0.937 2.081 O
-3.409 -3.284 0.657 O
1.441 -1.757 -0.483 O
-1.535 -4.105 -1.907 O
```



Least stable structure: *w*



*w*
First-principles (PBE) data for a relaxed Cs4LiPb4O6 crystal, as listed in Materials Project.

Properties
SG	No. 5
size of the total moment	0.00	μB/f.u.

Geometry as POSCAR:
```
Cs4LiPb4O6
1.0
-5.098 -4.361 4.615
-5.065 4.361 -4.581
5.098 -4.361 -4.615
Cs Li Pb O
4 1 4 6
Cartesian
-4.890 -4.316 -4.595 Cs
-0.506 -4.413 -0.027 Cs
-0.158 -4.316 -4.584 Cs
-4.575 -4.413 0.045 Cs
-2.524 0.196 -4.589 Li
-2.830 -2.151 -2.384 Pb
-7.284 -2.208 -2.329 Pb
-2.218 -2.150 -6.795 Pb
2.236 -2.208 -6.850 Pb
-2.508 -4.357 -2.442 O
-7.638 0.004 -2.121 O
-2.524 -1.622 -4.589 O
2.557 -2.305 -4.607 O
-5.045 -2.169 -2.302 O
-0.003 -2.169 -6.877 O
```



*x*
First-principles (PBE) data for a relaxed Cs4LiPb4O6 crystal, as listed in Materials Project.

Properties
SG	No. 5
size of the total moment	0.01	μB/f.u.

Geometry as POSCAR:
```
Cs4LiPb4O6
1.0
-2.155 -6.276 4.991
2.229 -3.668 -6.810
5.892 4.772 3.383
Cs Li Pb O
4 1 4 6
Cartesian
5.833 4.377 3.370 Cs
2.011 -0.897 4.424 Cs
0.119 -4.586 -0.845 Cs
4.155 0.602 -1.420 Cs
5.796 -2.624 1.678 Li
3.048 -2.898 0.937 Pb
2.996 -7.248 -0.070 Pb
1.261 -6.563 -4.080 Pb
1.133 -2.141 -3.477 Pb
4.341 -3.048 2.805 O
1.761 -7.135 -1.933 O
5.025 -2.314 -0.051 O
4.986 2.658 0.855 O
2.994 -5.077 0.433 O
1.216 -4.345 -3.798 O
```



Least stable structure: *w*



*w*
First-principles (PBE) data for a relaxed CsLiSO4 crystal, as listed in Materials Project.

Properties
SG	No. 62
size of the total moment	0.00	μB/f.u.

Geometry as POSCAR:
```
CsLiSO4
1.0
-1.645 2.324 4.731
-7.759 2.211 -3.785
-3.806 -8.485 2.845
Cs Li S O
4 4 4 16
Cartesian
-8.141 -3.848 3.893 Cs
-5.069 -0.101 -0.102 Cs
-3.957 -4.275 5.558 Cs
-9.253 0.326 -1.767 Cs
-5.264 -6.824 3.133 Li
-7.945 2.875 0.658 Li
-7.862 -2.861 0.283 Li
-5.348 -1.088 3.508 Li
-4.891 -3.721 1.738 S
-8.318 -0.229 2.053 S
-10.042 -5.450 0.796 S
-3.168 1.501 2.995 S
-4.982 -5.065 2.367 O
-8.228 1.116 1.424 O
-9.043 -4.364 0.610 O
-4.167 0.415 3.181 O
-1.884 1.117 3.630 O
-11.326 -5.067 0.161 O
-7.021 -0.581 2.677 O
-6.189 -3.368 1.114 O
-3.692 2.758 3.612 O
-10.242 -5.685 2.260 O
-8.676 -1.235 1.006 O
-3.811 -3.737 0.704 O
-9.518 -6.707 0.179 O
-2.968 1.735 1.531 O
-4.534 -2.714 2.785 O
-9.399 -0.213 3.087 O
```



*x*
First-principles (PBE) data for a relaxed CsLiSO4 crystal, as listed in Materials Project.

Properties
SG	No. 62
size of the total moment	0.00	μB/f.u.

Geometry as POSCAR:
```
CsLiSO4
1.0
5.611 0.000 0.000
0.000 10.206 0.000
0.000 0.000 10.990
Cs Li S O
4 4 4 16
Cartesian
4.208 9.813 3.988 Cs
1.403 5.496 9.483 Cs
4.208 4.710 1.507 Cs
1.403 0.393 7.002 Cs
4.208 1.346 0.427 Li
1.403 3.757 5.922 Li
4.208 6.449 5.068 Li
1.403 8.860 10.563 Li
1.403 1.939 10.283 S
4.208 3.164 4.788 S
1.403 7.042 6.202 S
4.208 8.267 0.707 S
1.403 0.460 10.110 O
2.993 2.733 5.555 O
5.423 2.733 5.555 O
4.208 2.526 3.447 O
1.403 2.577 8.942 O
0.188 2.370 0.060 O
2.618 2.370 0.060 O
4.208 4.644 4.615 O
1.403 5.563 6.375 O
2.993 7.836 10.931 O
5.423 7.836 10.931 O
4.208 7.629 2.048 O
1.403 7.680 7.543 O
0.188 7.473 5.435 O
2.618 7.473 5.435 O
4.208 9.747 0.880 O
```



Least stable structure: *x*



*w*
First-principles (PBE) data for a relaxed CsMg6Mo crystal, as listed in Materials Project.

Properties
SG	No. 38
size of the total moment	0.96	μB/f.u.

Geometry as POSCAR:
```
CsMg6Mo
1.0
-6.185 2.190 -0.121
1.606 -4.294 4.695
1.355 4.003 3.198
Cs Mg Mo
1 6 1
Cartesian
-0.506 0.029 4.570 Cs
-3.689 0.967 4.745 Mg
-1.039 2.185 2.097 Mg
-4.136 3.051 2.326 Mg
-2.939 -2.175 3.969 Mg
-0.363 -0.992 1.396 Mg
-3.510 -0.036 1.533 Mg
0.577 -3.438 4.060 Mo
```



*x*
First-principles (PBE) data for a relaxed CsMg6Mo crystal, as listed in Materials Project.

Properties
SG	No. 38
size of the total moment	0.56	μB/f.u.

Geometry as POSCAR:
```
CsMg6Mo
1.0
5.134 -5.153 0.000
5.134 5.153 0.000
0.000 0.000 3.917
Cs Mg Mo
1 6 1
Cartesian
5.134 -3.839 1.958 Cs
2.527 -1.316 1.958 Mg
7.742 -1.316 1.958 Mg
3.088 1.272 0.000 Mg
7.180 1.272 0.000 Mg
5.134 -0.738 0.000 Mg
5.134 3.344 0.000 Mg
5.134 1.319 1.958 Mo
```



Least stable structure: *w*